Entry 1:
MgVPO5: optimized geometry, PBE+U.

Lattice parameters (Å, degrees): 5.2893 7.1148 10.9359 77.85 99.36 73.03
Atoms (fractional coordinates):
Mg 0.5578 0.9362 0.3104
Mg 0.0582 0.4351 0.8103
Mg 0.4415 0.0471 0.6912
Mg 0.9417 0.5475 0.1912
V 0.9998 0.9916 0.5007
V 0.9998 0.4913 0.5007
V 0.5000 0.4915 0.0006
V 0.4996 0.9915 0.0008
P 0.5183 0.5604 0.6916
P 0.0182 0.0608 0.1916
P 0.4815 0.4225 0.3097
P 0.9813 0.9222 0.8096
O 0.3070 0.4489 0.6733
O 0.8070 0.9493 0.1733
O 0.3790 0.7938 0.6344
O 0.8793 0.2941 0.1343
O 0.6932 0.5337 0.3283
O 0.1925 0.0340 0.8283
O 0.6208 0.1891 0.3669
O 0.1213 0.6890 0.8667
O 0.3378 0.4748 0.1638
O 0.8375 0.9750 0.6637
O 0.7322 0.0069 0.8646
O 0.2325 0.5079 0.3646
O 0.6624 0.5079 0.8375
O 0.1615 0.0087 0.3376
O 0.2674 0.9755 0.1368
O 0.7669 0.4750 0.6365
O 0.1389 0.1987 0.5429
O 0.6388 0.6987 0.0429
O 0.8606 0.7844 0.4584
O 0.3612 0.2842 0.9585

Calculated values
Space group ... P1
Energy of formation from the pure elements ... -273 kJ per mole of atoms
Relative energy among the computed polymorphs ... 0.000 eV per atom


Entry 2:
MgV4P2O13: optimized geometry, PBE+U.

Lattice parameters (Å, degrees): 5.2751 5.1764 8.9229 94.45 99.70 82.29
Atoms (fractional coordinates):
Mg 0.2625 0.4564 0.5568
V 0.2450 0.0204 0.6956
V 0.0209 0.8814 0.3425
V 0.5878 0.4926 0.9371
V 0.3965 0.2653 0.2764
P 0.0134 0.9601 0.9981
P 0.7633 0.5860 0.5966
O 0.9654 0.7750 0.5681
O 0.2165 0.8563 0.8915
O 0.1182 0.5300 0.3223
O 0.2676 0.0759 0.4698
O 0.4203 0.3062 0.7664
O 0.1705 0.9958 0.1670
O 0.5812 0.7261 0.7072
O 0.5804 0.5180 0.4503
O 0.4682 0.4305 0.0928
O 0.7104 0.0364 0.2969
O 0.8936 0.2340 0.9527
O 0.9354 0.3433 0.6555
O 0.8234 0.7680 0.0070

Calculated values
Space group ... P1
Energy of formation from the pure elements ... -246 kJ per mole of atoms
Relative energy among the computed polymorphs ... 0.060 eV per atom


Entry 3:
MgP4WO12: optimized geometry, PBE+U.

Lattice parameters (Å, degrees): 7.7860 7.7860 10.3489 64.96 64.96 65.27
Atoms (fractional coordinates):
Mg 0.9568 0.0432 0.7500
Mg 0.0432 0.9568 0.2500
P 0.3185 0.3086 0.6822
P 0.6914 0.6815 0.8178
P 0.6815 0.6914 0.3178
P 0.3086 0.3185 0.1822
P 0.7283 0.2433 0.4831
P 0.7567 0.2717 0.0169
P 0.2717 0.7567 0.5169
P 0.2433 0.7283 0.9831
W 0.5000 0.0000 0.0000
W 0.0000 0.5000 0.5000
O 0.3003 0.5382 0.6370
O 0.4618 0.6997 0.8630
O 0.6997 0.4618 0.3630
O 0.5382 0.3003 0.1370
O 0.5030 0.2310 0.5516
O 0.7690 0.4970 0.9484
O 0.4970 0.7690 0.4484
O 0.2310 0.5030 0.0516
O 0.3526 0.2080 0.8308
O 0.7920 0.6474 0.6692
O 0.6474 0.7920 0.1692
O 0.2080 0.3526 0.3308
O 0.1410 0.2846 0.6716
O 0.7154 0.8590 0.8284
O 0.8590 0.7154 0.3284
O 0.2846 0.1410 0.1716
O 0.7940 0.2340 0.6037
O 0.7660 0.2060 0.8963
O 0.2060 0.7660 0.3963
O 0.2340 0.7940 0.1037
O 0.8425 0.0985 0.3973
O 0.9015 0.1575 0.1027
O 0.1575 0.9015 0.6027
O 0.0985 0.8425 0.8973

Calculated values
Space group ... C2/c
Energy of formation from the pure elements ... -238 kJ per mole of atoms


Entry 4:
MgP4W3O14: optimized geometry, PBE+U.

Lattice parameters (Å, degrees): 7.7019 7.5787 9.5642 73.86 90.00 90.00
Atoms (fractional coordinates):
Mg 0.0000 0.5000 0.0000
Mg 0.5000 0.5000 0.5000
P 0.9426 0.4191 0.7034
P 0.4426 0.5809 0.7966
P 0.0574 0.5809 0.2966
P 0.5574 0.4191 0.2034
P 0.2250 0.1163 0.6758
P 0.7250 0.8837 0.8242
P 0.7750 0.8837 0.3242
P 0.2750 0.1163 0.1758
W 0.1483 0.8124 0.5206
W 0.6483 0.1876 0.9794
W 0.8517 0.1876 0.4794
W 0.3517 0.8124 0.0206
W 0.0000 0.0000 0.0000
W 0.5000 0.0000 0.5000
O 0.3821 0.2276 0.5863
O 0.8821 0.7724 0.9137
O 0.6179 0.7724 0.4137
O 0.1179 0.2276 0.0863
O 0.3833 0.6340 0.6337
O 0.8833 0.3660 0.8663
O 0.6167 0.3660 0.3663
O 0.1167 0.6340 0.1337
O 0.7958 0.3762 0.6072
O 0.2958 0.6238 0.8928
O 0.2042 0.6238 0.3928
O 0.7042 0.3762 0.1072
O 0.1148 0.3150 0.6851
O 0.6148 0.6850 0.8149
O 0.8852 0.6850 0.3149
O 0.3852 0.3150 0.1851
O 0.5125 0.6227 0.1658
O 0.0125 0.3773 0.3342
O 0.4875 0.3773 0.8342
O 0.9875 0.6227 0.6658
O 0.7817 0.9730 0.1527
O 0.2817 0.0270 0.3473
O 0.2183 0.0270 0.8473
O 0.7183 0.9730 0.6527
O 0.4346 0.0451 0.1021
O 0.9346 0.9549 0.3979
O 0.5654 0.9549 0.8979
O 0.0654 0.0451 0.6021

Calculated values
Space group ... P2_1/c
Energy of formation from the pure elements ... -198 kJ per mole of atoms


Entry 5:
MgP8W2O24: optimized geometry, PBE+U.

Lattice parameters (Å, degrees): 7.4661 7.4655 10.0569 81.50 70.77 110.93
Atoms (fractional coordinates):
Mg 0.7942 0.0440 0.2500
P 0.2915 0.2487 0.9820
P 0.7309 0.2736 0.5181
P 0.0001 0.6867 0.3012
P 0.2708 0.7330 0.4709
P 0.7041 0.7416 0.0290
P 0.4877 0.3010 0.1988
P 0.5154 0.6926 0.8154
P 0.0080 0.3306 0.6847
W 0.0021 0.9997 0.5060
W 0.0058 0.5079 0.9940
O 0.4784 0.4640 0.8673
O 0.9579 0.3593 0.8338
O 0.0501 0.6715 0.1485
O 0.1081 0.2898 0.0808
O 0.1244 0.8008 0.5696
O 0.1900 0.6851 0.3407
O 0.0283 0.1403 0.6719
O 0.2253 0.5143 0.5614
O 0.4107 0.2069 0.0847
O 0.5020 0.8556 0.3976
O 0.5255 0.5303 0.1589
O 0.3201 0.1985 0.3516
O 0.3124 0.7001 0.8282
O 0.7532 0.8991 0.1026
O 0.2459 0.0918 0.9111
O 0.8710 0.1891 0.4193
O 0.6931 0.7913 0.6661
O 0.8706 0.6939 0.9304
O 0.5032 0.1570 0.5887
O 0.5763 0.7871 0.9383
O 0.7922 0.4957 0.4156
O 0.9618 0.8707 0.3264
O 0.8310 0.3452 0.6332
O 0.6970 0.2881 0.1735

Calculated values
Space group ... C2
Energy of formation from the pure elements ... -244 kJ per mole of atoms


Entry 6:
Mg3Te2Pb6WO18: optimized geometry, PBE+U.

Lattice parameters (Å, degrees): 5.7149 5.7149 13.9894 90.00 90.00 120.00
Atoms (fractional coordinates):
Mg 0.0000 0.0000 0.5000
Mg 0.3333 0.6667 0.1661
Mg 0.6667 0.3333 0.8339
Te 0.3333 0.6667 0.6665
Te 0.6667 0.3333 0.3335
Pb 0.3333 0.6667 0.4166
Pb 0.6667 0.3333 0.0837
Pb 0.0000 0.0000 0.7496
Pb 0.0000 0.0000 0.2504
Pb 0.3333 0.6667 0.9163
Pb 0.6667 0.3333 0.5834
W 0.0000 0.0000 0.0000
O 0.8275 0.1725 0.4137
O 0.1615 0.8385 0.0808
O 0.4938 0.5062 0.7470
O 0.5062 0.0125 0.2530
O 0.8385 0.6771 0.9192
O 0.1725 0.3451 0.5863
O 0.3451 0.1725 0.4137
O 0.6771 0.8385 0.0808
O 0.0125 0.5062 0.7470
O 0.5062 0.4938 0.2530
O 0.8385 0.1615 0.9192
O 0.1725 0.8275 0.5863
O 0.8275 0.6549 0.4137
O 0.1615 0.3229 0.0808
O 0.4938 0.9875 0.7470
O 0.9875 0.4938 0.2530
O 0.3229 0.1615 0.9192
O 0.6549 0.8275 0.5863

Calculated values
Space group ... P-3m1
Energy of formation from the pure elements ... -188 kJ per mole of atoms


Entry 7:
Mg2TePb4WO12: optimized geometry, PBE+U.

Lattice parameters (Å, degrees): 5.7320 8.0807 11.4795 90.00 90.00 90.00
Atoms (fractional coordinates):
Mg 0.9949 0.5000 0.3762
Mg 0.0051 0.5000 0.8762
Mg 0.5077 0.0000 0.6228
Mg 0.4923 0.0000 0.1228
Te 0.0032 0.0000 0.8774
Te 0.9968 0.0000 0.3774
Pb 0.9737 0.2522 0.1326
Pb 0.0263 0.7478 0.6326
Pb 0.5218 0.7526 0.8678
Pb 0.4782 0.2474 0.3678
Pb 0.5218 0.2474 0.8678
Pb 0.4782 0.7526 0.3678
Pb 0.9737 0.7478 0.1326
Pb 0.0263 0.2522 0.6326
W 0.4937 0.5000 0.1218
W 0.5063 0.5000 0.6218
O 0.5080 0.7422 0.1291
O 0.4920 0.2578 0.6291
O 0.9921 0.2403 0.8712
O 0.0079 0.7597 0.3712
O 0.9921 0.7597 0.8712
O 0.0079 0.2403 0.3712
O 0.5080 0.2578 0.1291
O 0.4920 0.7422 0.6291
O 0.2523 0.5000 0.0080
O 0.7477 0.5000 0.5080
O 0.2496 0.0000 0.9908
O 0.7504 0.0000 0.4908
O 0.2712 0.5000 0.2504
O 0.7288 0.5000 0.7504
O 0.2275 0.0000 0.7497
O 0.7725 0.0000 0.2497
O 0.7574 0.5000 0.2384
O 0.2426 0.5000 0.7384
O 0.7448 0.0000 0.7631
O 0.2552 0.0000 0.2631
O 0.7341 0.5000 0.0008
O 0.2659 0.5000 0.5008
O 0.7676 0.0000 0.9993
O 0.2324 0.0000 0.4993

Calculated values
Space group ... Pmc2_1
Energy of formation from the pure elements ... -193 kJ per mole of atoms


Entry 8:
MgV4Pb2O12: optimized geometry, PBE+U.

Lattice parameters (Å, degrees): 3.7245 8.8647 9.8134 104.81 89.97 102.08
Atoms (fractional coordinates):
Mg 0.2433 0.4853 0.4453
V 0.5873 0.1748 0.8354
V 0.4065 0.8120 0.1617
V 0.8522 0.7032 0.3647
V 0.1665 0.3332 0.6577
Pb 0.8667 0.7352 0.7589
Pb 0.0976 0.1978 0.1799
O 0.6676 0.3356 0.7223
O 0.3409 0.6805 0.2996
O 0.9090 0.8170 0.2124
O 0.0976 0.1953 0.7911
O 0.6264 0.2534 0.0153
O 0.3555 0.7093 0.9949
O 0.1295 0.2585 0.4780
O 0.9028 0.8050 0.5368
O 0.4869 0.9737 0.8026
O 0.7434 0.4852 0.3673
O 0.2786 0.5575 0.6576
O 0.5094 0.0187 0.1700

Calculated values
Space group ... P1
Energy of formation from the pure elements ... -217 kJ per mole of atoms
Relative energy among the computed polymorphs ... 0.023 eV per atom


Entry 9:
MgV2PbO7: optimized geometry, PBE+U.

Lattice parameters (Å, degrees): 15.2794 6.9624 11.7090 82.07 90.00 90.00
Atoms (fractional coordinates):
Mg 0.7509 0.0114 0.2398
Mg 0.6768 0.3758 0.0628
Mg 0.3232 0.6242 0.9372
Mg 0.2509 0.9886 0.2602
Mg 0.7491 0.0114 0.7398
Mg 0.1768 0.6242 0.4372
Mg 0.8232 0.3758 0.5628
Mg 0.2491 0.9886 0.7602
V 0.3042 0.4911 0.2307
V 0.4934 0.6292 0.1461
V 0.8630 0.1562 0.9798
V 0.3630 0.8438 0.5202
V 0.9934 0.3708 0.3539
V 0.3572 0.1118 0.9953
V 0.6370 0.1562 0.4798
V 0.8042 0.5089 0.2693
V 0.1958 0.4911 0.7307
V 0.6958 0.5089 0.7693
V 0.0066 0.6292 0.6461
V 0.1370 0.8438 0.0202
V 0.6428 0.8882 0.0047
V 0.1428 0.1118 0.4953
V 0.8572 0.8882 0.5047
V 0.5066 0.3708 0.8539
Pb 0.1254 0.3408 0.0538
Pb 0.0187 0.1097 0.7782
Pb 0.9813 0.8903 0.2218
Pb 0.8746 0.6592 0.9462
Pb 0.4813 0.1097 0.2782
Pb 0.5187 0.8903 0.7218
Pb 0.3746 0.3408 0.5538
Pb 0.6254 0.6592 0.4462
O 0.7643 0.7006 0.7852
O 0.2910 0.3102 0.9671
O 0.2496 0.6749 0.2867
O 0.3332 0.9375 0.9057
O 0.2357 0.2994 0.2148
O 0.8332 0.0625 0.5943
O 0.5091 0.7337 0.2664
O 0.1472 0.0183 0.6388
O 0.6668 0.0625 0.0943
O 0.7357 0.7006 0.2852
O 0.7496 0.3251 0.2133
O 0.9680 0.2442 0.9583
O 0.2504 0.6749 0.7867
O 0.0320 0.7558 0.0417
O 0.6204 0.4209 0.8937
O 0.2904 0.6486 0.5338
O 0.3528 0.0183 0.1388
O 0.3553 0.9859 0.3848
O 0.7504 0.3251 0.7133
O 0.5320 0.2442 0.4583
O 0.4909 0.2663 0.7336
O 0.7096 0.3514 0.4662
O 0.1447 0.9859 0.8848
O 0.7090 0.6898 0.0329
O 0.6165 0.6016 0.6754
O 0.8796 0.4209 0.3937
O 0.8553 0.0141 0.1152
O 0.1204 0.5791 0.6063
O 0.9690 0.7992 0.5286
O 0.3469 0.9883 0.6308
O 0.6531 0.0117 0.3692
O 0.8469 0.0117 0.8692
O 0.6447 0.0141 0.6152
O 0.1165 0.3984 0.8246
O 0.3835 0.3984 0.3246
O 0.6472 0.9817 0.8612
O 0.0310 0.2008 0.4714
O 0.5310 0.7992 0.0286
O 0.0091 0.2663 0.2336
O 0.4680 0.7558 0.5417
O 0.0587 0.5704 0.3514
O 0.8835 0.6016 0.1754
O 0.3796 0.5791 0.1063
O 0.2090 0.3102 0.4671
O 0.1668 0.9375 0.4057
O 0.8528 0.9817 0.3612
O 0.7904 0.3514 0.9662
O 0.1531 0.9883 0.1308
O 0.4690 0.2008 0.9714
O 0.5587 0.4296 0.1486
O 0.9909 0.7337 0.7664
O 0.2643 0.2994 0.7148
O 0.7910 0.6898 0.5329
O 0.9413 0.4296 0.6486
O 0.2096 0.6486 0.0338
O 0.4413 0.5704 0.8514

Calculated values
Space group ... P2_1/c
Energy of formation from the pure elements ... -233 kJ per mole of atoms


Entry 10:
MgV4Pb2O12: optimized geometry, PBE+U.

Lattice parameters (Å, degrees): 3.6680 8.1723 9.8947 105.98 90.00 102.97
Atoms (fractional coordinates):
Mg 0.5000 0.0000 0.5000
V 0.6048 0.2097 0.8609
V 0.3952 0.7903 0.1391
V 0.8438 0.6876 0.3630
V 0.1562 0.3124 0.6370
Pb 0.8766 0.7533 0.7491
Pb 0.1234 0.2467 0.2509
O 0.6181 0.2363 0.6578
O 0.3819 0.7637 0.3422
O 0.8665 0.7330 0.1748
O 0.1335 0.2670 0.8252
O 0.6485 0.2971 0.0350
O 0.3515 0.7029 0.9650
O 0.0732 0.1465 0.4547
O 0.9268 0.8535 0.5453
O 0.4938 0.9877 0.8236
O 0.7352 0.4704 0.3578
O 0.2648 0.5296 0.6422
O 0.5062 0.0123 0.1764

Calculated values
Space group ... C2/m
Energy of formation from the pure elements ... -220 kJ per mole of atoms
Relative energy among the computed polymorphs ... 0.000 eV per atom


Among the records above, which one has the highest energy of formation from the pure elements? Mg3Te2Pb6WO18


Please write out number 4 again, unchanged.
MgP4W3O14: optimized geometry, PBE+U.

Lattice parameters (Å, degrees): 7.7019 7.5787 9.5642 73.86 90.00 90.00
Atoms (fractional coordinates):
Mg 0.0000 0.5000 0.0000
Mg 0.5000 0.5000 0.5000
P 0.9426 0.4191 0.7034
P 0.4426 0.5809 0.7966
P 0.0574 0.5809 0.2966
P 0.5574 0.4191 0.2034
P 0.2250 0.1163 0.6758
P 0.7250 0.8837 0.8242
P 0.7750 0.8837 0.3242
P 0.2750 0.1163 0.1758
W 0.1483 0.8124 0.5206
W 0.6483 0.1876 0.9794
W 0.8517 0.1876 0.4794
W 0.3517 0.8124 0.0206
W 0.0000 0.0000 0.0000
W 0.5000 0.0000 0.5000
O 0.3821 0.2276 0.5863
O 0.8821 0.7724 0.9137
O 0.6179 0.7724 0.4137
O 0.1179 0.2276 0.0863
O 0.3833 0.6340 0.6337
O 0.8833 0.3660 0.8663
O 0.6167 0.3660 0.3663
O 0.1167 0.6340 0.1337
O 0.7958 0.3762 0.6072
O 0.2958 0.6238 0.8928
O 0.2042 0.6238 0.3928
O 0.7042 0.3762 0.1072
O 0.1148 0.3150 0.6851
O 0.6148 0.6850 0.8149
O 0.8852 0.6850 0.3149
O 0.3852 0.3150 0.1851
O 0.5125 0.6227 0.1658
O 0.0125 0.3773 0.3342
O 0.4875 0.3773 0.8342
O 0.9875 0.6227 0.6658
O 0.7817 0.9730 0.1527
O 0.2817 0.0270 0.3473
O 0.2183 0.0270 0.8473
O 0.7183 0.9730 0.6527
O 0.4346 0.0451 0.1021
O 0.9346 0.9549 0.3979
O 0.5654 0.9549 0.8979
O 0.0654 0.0451 0.6021

Calculated values
Space group ... P2_1/c
Energy of formation from the pure elements ... -198 kJ per mole of atoms


Please write out number 4 again, unchanged.
MgP4W3O14: optimized geometry, PBE+U.

Lattice parameters (Å, degrees): 7.7019 7.5787 9.5642 73.86 90.00 90.00
Atoms (fractional coordinates):
Mg 0.0000 0.5000 0.0000
Mg 0.5000 0.5000 0.5000
P 0.9426 0.4191 0.7034
P 0.4426 0.5809 0.7966
P 0.0574 0.5809 0.2966
P 0.5574 0.4191 0.2034
P 0.2250 0.1163 0.6758
P 0.7250 0.8837 0.8242
P 0.7750 0.8837 0.3242
P 0.2750 0.1163 0.1758
W 0.1483 0.8124 0.5206
W 0.6483 0.1876 0.9794
W 0.8517 0.1876 0.4794
W 0.3517 0.8124 0.0206
W 0.0000 0.0000 0.0000
W 0.5000 0.0000 0.5000
O 0.3821 0.2276 0.5863
O 0.8821 0.7724 0.9137
O 0.6179 0.7724 0.4137
O 0.1179 0.2276 0.0863
O 0.3833 0.6340 0.6337
O 0.8833 0.3660 0.8663
O 0.6167 0.3660 0.3663
O 0.1167 0.6340 0.1337
O 0.7958 0.3762 0.6072
O 0.2958 0.6238 0.8928
O 0.2042 0.6238 0.3928
O 0.7042 0.3762 0.1072
O 0.1148 0.3150 0.6851
O 0.6148 0.6850 0.8149
O 0.8852 0.6850 0.3149
O 0.3852 0.3150 0.1851
O 0.5125 0.6227 0.1658
O 0.0125 0.3773 0.3342
O 0.4875 0.3773 0.8342
O 0.9875 0.6227 0.6658
O 0.7817 0.9730 0.1527
O 0.2817 0.0270 0.3473
O 0.2183 0.0270 0.8473
O 0.7183 0.9730 0.6527
O 0.4346 0.0451 0.1021
O 0.9346 0.9549 0.3979
O 0.5654 0.9549 0.8979
O 0.0654 0.0451 0.6021

Calculated values
Space group ... P2_1/c
Energy of formation from the pure elements ... -198 kJ per mole of atoms